1.
Here is a relaxed Ba3SrMgNb2O9 crystal from the Materials Project database. Energies are from PBE.

a b c (Å): 6.0851 6.0851 8.0929
angles (deg): 94.89 94.89 61.95
With the nearest neighbours (Å) after each atom.
Atoms (fractional coordinates):
Ba 0.0000 0.0000 0.0000  6 O 2.80-3.04
Ba 0.3070 0.3070 0.7573  3 O 2.63-2.67
Ba 0.6930 0.6930 0.2427  3 O 2.63-2.67
Sr 0.0000 0.0000 0.5000  4 O 2.39
Mg 0.5000 0.5000 0.5000  4 O 2.05
Nb 0.3330 0.3330 0.1627  3 O 1.92-2.05
Nb 0.6670 0.6670 0.8373  3 O 1.92-2.05
O 0.0000 0.5000 0.0000  2 Nb 2.17
O 0.1810 0.1810 0.2789  1 Nb 1.92
O 0.2216 0.6452 0.3185  1 Nb 2.05, 1 Mg 2.05
O 0.3548 0.7784 0.6815  1 Nb 2.05, 1 Mg 2.05
O 0.5000 0.0000 0.0000  2 Nb 2.17
O 0.5000 0.5000 0.0000  2 Nb 2.29
O 0.6452 0.2216 0.3185  1 Nb 2.05, 1 Mg 2.05
O 0.7784 0.3548 0.6815  1 Nb 2.05, 1 Mg 2.05
O 0.8190 0.8190 0.7211  1 Nb 1.92

Its energy of formation is -2877.6 meV/atom. The energy above the most stable polymorph in this dataset comes out at 4.1 kJ/mol of atoms. The density comes out at 5.39 g/cm³.

---

2.
Here is a relaxed SmSn2 crystal from the Materials Project database. Energies are from PBE.

a b c (Å): 7.8526 7.8526 4.6666
angles (deg): 90.00 90.00 145.47
With the nearest neighbours (Å) after each atom.
Atoms (fractional coordinates):
Sm 0.1483 0.8517 0.0000  10 Sn 3.22-3.55
Sm 0.8517 0.1483 0.0000  10 Sn 3.22-3.55
Sn 0.0000 0.0000 0.5000  4 Sm 3.22, 8 Sn 3.30-3.49
Sn 0.3269 0.6731 0.5000  6 Sn 3.28-3.49, 6 Sm 3.32-3.55
Sn 0.5000 0.5000 0.0000  4 Sm 3.22, 8 Sn 3.30-3.49
Sn 0.6731 0.3269 0.5000  6 Sn 3.28-3.49, 6 Sm 3.32-3.55

Its energy of formation is -610.0 meV/atom. The density comes out at 7.90 g/cm³.

---

3.
Here is a relaxed PtN2Cl4 crystal from the Materials Project database. Energies are from PBE.

a b c (Å): 4.8978 4.8978 12.6009
angles (deg): 90.00 90.00 90.00
With the nearest neighbours (Å) after each atom.
Atoms (fractional coordinates):
Pt 0.0000 0.0000 0.0000  2 N 1.99
Pt 0.5000 0.5000 0.5000  2 N 1.99
N 0.2126 0.2126 0.5000  1 Pt 1.99
N 0.2874 0.7126 0.0000  1 Pt 1.99
N 0.7126 0.2874 0.0000  1 Pt 1.99
N 0.7874 0.7874 0.5000  1 Pt 1.99
Cl 0.2416 0.2416 0.1298  1 Pt 2.34
Cl 0.2416 0.2416 0.8702  1 Pt 2.34
Cl 0.2584 0.7416 0.3702  1 Pt 2.34
Cl 0.2584 0.7416 0.6298  1 Pt 2.34
Cl 0.7416 0.2584 0.3702  1 Pt 2.34
Cl 0.7416 0.2584 0.6298  1 Pt 2.34
Cl 0.7584 0.7584 0.1298  1 Pt 2.34
Cl 0.7584 0.7584 0.8702  1 Pt 2.34

Its energy of formation is 685.0 meV/atom. The energy above the most stable polymorph in this dataset comes out at 40.7 kJ/mol of atoms. The density comes out at 4.01 g/cm³.

---

4.
Here is a relaxed CsTiCu3Se4 crystal from the Materials Project database. Energies are from PBE.

a b c (Å): 5.8254 7.8548 10.3925
angles (deg): 90.00 106.25 90.00
With the nearest neighbours (Å) after each atom.
Atoms (fractional coordinates):
Cs 0.1996 0.2500 0.3780  9 Se 3.67-3.93
Cs 0.8004 0.7500 0.6220  9 Se 3.67-3.93
Ti 0.1466 0.2500 0.7947  4 Se 2.36-2.47
Ti 0.8534 0.7500 0.2053  4 Se 2.36-2.47
Cu 0.2800 0.5058 0.0021  4 Se 2.46-2.59, 2 Cu 2.58-2.76
Cu 0.2800 0.9942 0.0021  4 Se 2.46-2.59, 2 Cu 2.58-2.76
Cu 0.3496 0.7500 0.1997  4 Se 2.44-2.56
Cu 0.6504 0.2500 0.8003  4 Se 2.44-2.56
Cu 0.7200 0.0058 0.9979  4 Se 2.46-2.59, 2 Cu 2.58-2.76
Cu 0.7200 0.4942 0.9979  4 Se 2.46-2.59, 2 Cu 2.58-2.76
Se 0.0210 0.2500 0.0031  1 Ti 2.47, 5 Cu 2.51-2.59
Se 0.1920 0.7500 0.3938  1 Ti 2.36, 1 Cu 2.44
Se 0.3869 0.5031 0.7892  1 Ti 2.44, 3 Cu 2.46-2.49
Se 0.3869 0.9969 0.7892  1 Ti 2.44, 3 Cu 2.46-2.49
Se 0.6131 0.0031 0.2108  1 Ti 2.44, 3 Cu 2.46-2.49
Se 0.6131 0.4969 0.2108  1 Ti 2.44, 3 Cu 2.46-2.49
Se 0.8080 0.2500 0.6062  1 Ti 2.36, 1 Cu 2.44
Se 0.9790 0.7500 0.9969  1 Ti 2.47, 5 Cu 2.51-2.59

Its energy of formation is -953.4 meV/atom. The energy above the most stable polymorph in this dataset comes out at 0.0 kJ/mol of atoms. The density comes out at 5.00 g/cm³.

---

5.
Here is a relaxed Rb2NdAgF6 crystal from the Materials Project database. Energies are from PBE.

a b c (Å): 6.6962 6.6962 6.6962
angles (deg): 60.00 60.00 60.00
With the nearest neighbours (Å) after each atom.
Atoms (fractional coordinates):
Rb 0.2500 0.2500 0.2500  12 F 3.35
Rb 0.7500 0.7500 0.7500  12 F 3.35
Nd 0.0000 0.0000 0.0000  6 F 2.27
Ag 0.5000 0.5000 0.5000  6 F 2.46
F 0.2400 0.2400 0.7600  1 Nd 2.27, 1 Ag 2.46
F 0.2400 0.7600 0.2400  1 Nd 2.27, 1 Ag 2.46
F 0.2400 0.7600 0.7600  1 Nd 2.27, 1 Ag 2.46
F 0.7600 0.2400 0.2400  1 Nd 2.27, 1 Ag 2.46
F 0.7600 0.2400 0.7600  1 Nd 2.27, 1 Ag 2.46
F 0.7600 0.7600 0.2400  1 Nd 2.27, 1 Ag 2.46

Its energy of formation is -3131.4 meV/atom. The density comes out at 4.20 g/cm³.

---

6.
Here is a relaxed LaHg2 crystal from the Materials Project database. Energies are from PBE.

a b c (Å): 5.1133 5.1133 3.5965
angles (deg): 90.00 90.00 120.00
With the nearest neighbours (Å) after each atom.
Atoms (fractional coordinates):
La 0.0000 0.0000 0.0000  12 Hg 3.46, 2 La 3.60
Hg 0.3333 0.6667 0.5000  3 Hg 2.95
Hg 0.6667 0.3333 0.5000  3 Hg 2.95

Its energy of formation is -481.4 meV/atom. The density comes out at 11.01 g/cm³.